Version w
A relaxed Li3MnCo2O6 crystal. Source: the Materials Project database, functional GGA+U.

Summary:
The crystal system is triclinic. Its mass density is 4.40 g/cm³.

Lattice parameters (Å, degrees): 5.064 5.142 8.900 73.46 84.19 79.85
Sites, in units of the cell vectors:
1 Li 0.000 0.000 0.000
2 Li 0.000 0.340 0.661
3 Li 0.001 0.677 0.320
4 Li 0.502 0.838 0.167
5 Li 0.505 0.515 0.488
6 Li 0.506 0.176 0.827
7 Mn 0.252 0.758 0.744
8 Mn 0.752 0.257 0.244
9 Co 0.251 0.093 0.410
10 Co 0.253 0.422 0.079
11 Co 0.752 0.588 0.914
12 Co 0.752 0.927 0.575
13 O 0.106 0.064 0.205
14 O 0.117 0.422 0.861
15 O 0.117 0.726 0.553
16 O 0.386 0.094 0.627
17 O 0.387 0.789 0.935
18 O 0.398 0.452 0.283
19 O 0.607 0.566 0.706
20 O 0.639 0.225 0.045
21 O 0.640 0.910 0.367
22 O 0.865 0.289 0.442
23 O 0.866 0.603 0.122
24 O 0.896 0.950 0.783

Version x
A relaxed Li3MnCo2O6 crystal. Source: the Materials Project database, functional GGA+U.

Summary:
The crystal system is monoclinic. Its mass density is 4.41 g/cm³.

Lattice parameters (Å, degrees): 5.113 5.113 5.143 99.12 99.12 120.96
Sites, in units of the cell vectors:
1 Li 0.000 0.000 0.000
2 Li 0.336 0.664 0.000
3 Li 0.664 0.336 0.000
4 Mn 0.500 0.500 0.500
5 Co 0.169 0.831 0.500
6 Co 0.831 0.169 0.500
7 O 0.108 0.421 0.272
8 O 0.257 0.257 0.723
9 O 0.421 0.108 0.272
10 O 0.579 0.892 0.728
11 O 0.743 0.743 0.277
12 O 0.892 0.579 0.728

Version y
A relaxed Li3MnCo2O6 crystal. Source: the Materials Project database, functional GGA+U.

Summary:
The crystal system is monoclinic. Its mass density is 4.33 g/cm³.

Lattice parameters (Å, degrees): 5.212 5.212 8.065 113.76 113.76 33.97
Sites, in units of the cell vectors:
1 Li 0.000 0.000 0.000
2 Li 0.333 0.333 0.667
3 Li 0.667 0.667 0.333
4 Mn 0.000 0.000 0.500
5 Co 0.331 0.331 0.165
6 Co 0.669 0.669 0.835
7 O 0.010 0.010 0.744
8 O 0.328 0.328 0.926
9 O 0.337 0.337 0.407
10 O 0.663 0.663 0.593
11 O 0.672 0.672 0.074
12 O 0.990 0.990 0.256

Most favorable structure: version x. The second most favorable one is 7 meV/atom above it.

Version w
A relaxed Li3MnP2O8 crystal. Source: the Materials Project database, functional GGA+U.

Summary:
Its mass density is 3.12 g/cm³.

Lattice parameters (Å, degrees): 6.201 8.509 10.718 89.94 90.18 88.81
Sites, in units of the cell vectors:
1 O 0.939 0.756 0.750
2 O 0.469 0.247 0.750
3 O 0.939 0.256 0.000
4 O 0.270 0.530 0.383
5 O 0.730 0.970 0.367
6 O 0.531 0.253 0.000
7 O 0.270 0.030 0.868
8 O 0.469 0.747 0.000
9 O 0.730 0.469 0.617
10 O 0.531 0.753 0.750
11 O 0.061 0.744 0.000
12 O 0.730 0.469 0.382
13 O 0.730 0.969 0.132
14 O 0.270 0.530 0.618
15 O 0.061 0.244 0.250
16 O 0.061 0.744 0.500
17 O 0.270 0.030 0.368
18 O 0.731 0.470 0.117
19 O 0.469 0.247 0.250
20 O 0.469 0.747 0.500
21 O 0.531 0.753 0.250
22 O 0.730 0.970 0.867
23 O 0.269 0.031 0.633
24 O 0.939 0.756 0.250
25 O 0.270 0.531 0.883
26 O 0.730 0.470 0.882
27 O 0.061 0.244 0.750
28 O 0.271 0.530 0.118
29 O 0.730 0.970 0.632
30 O 0.939 0.256 0.500
31 O 0.531 0.253 0.500
32 O 0.270 0.031 0.133
33 Li 0.770 0.669 0.000
34 Li 0.770 0.669 0.500
35 Li 0.230 0.831 0.750
36 Li 0.000 0.000 0.500
37 Li 0.769 0.169 0.250
38 Li 0.000 0.500 0.250
39 Li 0.231 0.331 0.500
40 Li 0.769 0.169 0.750
41 Li 0.000 0.500 0.750
42 Li 0.231 0.331 0.000
43 Li 0.000 0.000 0.000
44 Li 0.230 0.831 0.250
45 P 0.268 0.646 0.500
46 P 0.268 0.647 0.000
47 P 0.732 0.353 0.500
48 P 0.268 0.147 0.750
49 P 0.732 0.854 0.750
50 P 0.732 0.354 0.000
51 P 0.268 0.146 0.250
52 P 0.732 0.853 0.250
53 Mn 0.500 0.000 0.500
54 Mn 0.500 0.000 0.000
55 Mn 0.500 0.500 0.250
56 Mn 0.500 0.500 0.750

Version x
A relaxed Li3MnP2O8 crystal. Source: the Materials Project database, functional GGA+U.

Summary:
The crystal system is monoclinic. Its mass density is 2.79 g/cm³.

Lattice parameters (Å, degrees): 8.668 9.903 16.392 90.00 115.96 90.00
Sites, in units of the cell vectors:
1 Li 0.019 0.100 0.447
2 Li 0.019 0.400 0.947
3 Li 0.040 0.615 0.755
4 Li 0.040 0.885 0.255
5 Li 0.253 0.089 0.999
6 Li 0.253 0.411 0.499
7 Li 0.281 0.578 0.991
8 Li 0.281 0.922 0.491
9 Li 0.395 0.596 0.802
10 Li 0.395 0.904 0.302
11 Li 0.408 0.623 0.225
12 Li 0.408 0.877 0.725
13 Li 0.592 0.123 0.275
14 Li 0.592 0.377 0.775
15 Li 0.605 0.096 0.698
16 Li 0.605 0.404 0.198
17 Li 0.719 0.078 0.509
18 Li 0.719 0.422 0.009
19 Li 0.747 0.589 0.501
20 Li 0.747 0.911 0.001
21 Li 0.960 0.115 0.745
22 Li 0.960 0.385 0.245
23 Li 0.981 0.600 0.053
24 Li 0.981 0.900 0.553
25 Mn 0.022 0.142 0.112
26 Mn 0.022 0.358 0.612
27 Mn 0.447 0.121 0.864
28 Mn 0.447 0.379 0.364
29 Mn 0.553 0.621 0.636
30 Mn 0.553 0.879 0.136
31 Mn 0.978 0.642 0.388
32 Mn 0.978 0.858 0.888
33 P 0.172 0.655 0.600
34 P 0.172 0.845 0.100
35 P 0.216 0.141 0.641
36 P 0.216 0.359 0.141
37 P 0.259 0.137 0.342
38 P 0.259 0.363 0.842
39 P 0.361 0.669 0.411
40 P 0.361 0.831 0.911
41 P 0.639 0.169 0.089
42 P 0.639 0.331 0.589
43 P 0.741 0.637 0.158
44 P 0.741 0.863 0.658
45 P 0.784 0.641 0.859
46 P 0.784 0.859 0.359
47 P 0.828 0.155 0.900
48 P 0.828 0.345 0.400
49 O 0.020 0.558 0.582
50 O 0.020 0.942 0.082
51 O 0.055 0.159 0.659
52 O 0.055 0.341 0.159
53 O 0.113 0.744 0.021
54 O 0.113 0.756 0.521
55 O 0.136 0.068 0.252
56 O 0.136 0.432 0.752
57 O 0.184 0.027 0.573
58 O 0.184 0.473 0.073
59 O 0.202 0.590 0.405
60 O 0.202 0.910 0.905
61 O 0.218 0.088 0.419
62 O 0.218 0.412 0.919
63 O 0.229 0.203 0.834
64 O 0.229 0.213 0.106
65 O 0.229 0.287 0.606
66 O 0.229 0.297 0.334
67 O 0.234 0.726 0.692
68 O 0.234 0.774 0.192
69 O 0.320 0.564 0.600
70 O 0.320 0.936 0.100
71 O 0.321 0.681 0.889
72 O 0.321 0.819 0.389
73 O 0.389 0.109 0.727
74 O 0.389 0.391 0.227
75 O 0.415 0.596 0.345
76 O 0.415 0.904 0.845
77 O 0.447 0.114 0.356
78 O 0.447 0.386 0.856
79 O 0.488 0.149 0.992
80 O 0.488 0.351 0.492
81 O 0.512 0.649 0.508
82 O 0.512 0.851 0.008
83 O 0.553 0.614 0.144
84 O 0.553 0.886 0.644
85 O 0.585 0.096 0.155
86 O 0.585 0.404 0.655
87 O 0.611 0.609 0.773
88 O 0.611 0.891 0.273
89 O 0.679 0.181 0.611
90 O 0.679 0.319 0.111
91 O 0.680 0.064 0.900
92 O 0.680 0.436 0.400
93 O 0.766 0.226 0.808
94 O 0.766 0.274 0.308
95 O 0.771 0.703 0.666
96 O 0.771 0.713 0.394
97 O 0.771 0.787 0.894
98 O 0.771 0.797 0.166
99 O 0.782 0.588 0.081
100 O 0.782 0.912 0.581
101 O 0.798 0.090 0.095
102 O 0.798 0.410 0.595
103 O 0.816 0.527 0.927
104 O 0.816 0.973 0.427
105 O 0.864 0.568 0.248
106 O 0.864 0.932 0.748
107 O 0.887 0.244 0.479
108 O 0.887 0.256 0.979
109 O 0.945 0.659 0.841
110 O 0.945 0.841 0.341
111 O 0.980 0.058 0.918
112 O 0.980 0.442 0.418

Most favorable structure: version w. The second most favorable one is 16 meV/atom above it.

Version w
A relaxed Li2MnF5 crystal. Source: the Materials Project database, functional GGA+U.

Summary:
The crystal system is orthorhombic. Its mass density is 2.66 g/cm³.

Lattice parameters (Å, degrees): 6.564 8.126 7.662 90.00 90.00 90.00
Sites, in units of the cell vectors:
1 Li 0.023 0.081 0.232
2 Li 0.023 0.419 0.232
3 Li 0.477 0.581 0.732
4 Li 0.477 0.919 0.732
5 Li 0.523 0.081 0.268
6 Li 0.523 0.419 0.268
7 Li 0.977 0.581 0.768
8 Li 0.977 0.919 0.768
9 Mn 0.235 0.250 0.607
10 Mn 0.265 0.750 0.107
11 Mn 0.735 0.250 0.893
12 Mn 0.765 0.750 0.393
13 F 0.026 0.750 0.936
14 F 0.077 0.750 0.290
15 F 0.082 0.250 0.400
16 F 0.218 0.016 0.647
17 F 0.218 0.484 0.647
18 F 0.282 0.516 0.147
19 F 0.282 0.984 0.147
20 F 0.418 0.750 0.900
21 F 0.423 0.250 0.790
22 F 0.474 0.250 0.436
23 F 0.526 0.750 0.564
24 F 0.577 0.750 0.210
25 F 0.582 0.250 0.100
26 F 0.718 0.016 0.853
27 F 0.718 0.484 0.853
28 F 0.782 0.516 0.353
29 F 0.782 0.984 0.353
30 F 0.918 0.750 0.600
31 F 0.923 0.250 0.710
32 F 0.974 0.250 0.064

Version x
A relaxed Li2MnF5 crystal. Source: the Materials Project database, functional GGA+U.

Summary:
The crystal system is orthorhombic. Its mass density is 2.76 g/cm³.

Lattice parameters (Å, degrees): 5.348 5.348 9.729 90.00 90.00 134.91
Sites, in units of the cell vectors:
1 Li 0.139 0.861 0.571
2 Li 0.139 0.861 0.929
3 Li 0.861 0.139 0.071
4 Li 0.861 0.139 0.429
5 Mn 0.190 0.810 0.250
6 Mn 0.810 0.190 0.750
7 F 0.054 0.946 0.117
8 F 0.054 0.946 0.383
9 F 0.253 0.747 0.750
10 F 0.313 0.687 0.096
11 F 0.313 0.687 0.404
12 F 0.687 0.313 0.596
13 F 0.687 0.313 0.904
14 F 0.747 0.253 0.250
15 F 0.946 0.054 0.617
16 F 0.946 0.054 0.883

Version y
A relaxed Li2MnF5 crystal. Source: the Materials Project database, functional GGA+U.

Summary:
The crystal system is orthorhombic. The piezoelectric modulus e_max is 0.149 C/m². Its mass density is 2.83 g/cm³.

Lattice parameters (Å, degrees): 8.517 7.441 6.068 90.00 90.00 90.00
Sites, in units of the cell vectors:
1 Li 0.131 0.078 0.000
2 Li 0.137 0.080 0.512
3 Li 0.363 0.580 0.012
4 Li 0.369 0.578 0.500
5 Li 0.631 0.422 0.000
6 Li 0.637 0.420 0.512
7 Li 0.863 0.920 0.012
8 Li 0.869 0.922 0.500
9 Mn 0.004 0.483 0.264
10 Mn 0.496 0.983 0.764
11 Mn 0.504 0.017 0.264
12 Mn 0.996 0.517 0.764
13 F 0.009 0.004 0.257
14 F 0.072 0.340 0.998
15 F 0.074 0.341 0.529
16 F 0.190 0.626 0.766
17 F 0.202 0.587 0.262
18 F 0.298 0.087 0.762
19 F 0.310 0.126 0.266
20 F 0.426 0.841 0.029
21 F 0.428 0.840 0.498
22 F 0.491 0.504 0.757
23 F 0.509 0.496 0.257
24 F 0.572 0.160 0.998
25 F 0.574 0.159 0.529
26 F 0.690 0.874 0.766
27 F 0.702 0.913 0.262
28 F 0.798 0.413 0.762
29 F 0.810 0.374 0.266
30 F 0.926 0.659 0.029
31 F 0.928 0.660 0.498
32 F 0.991 0.996 0.757

Most favorable structure: version x. The second most favorable one is 39 meV/atom above it.

Version w
A relaxed Mn3OF5 crystal. Source: the Materials Project database, functional GGA+U.

Summary:
The crystal system is triclinic. Its mass density is 3.94 g/cm³.

Lattice parameters (Å, degrees): 5.856 5.874 7.725 72.31 72.12 70.60
Sites, in units of the cell vectors:
1 Mn 0.000 0.000 0.000
2 Mn 0.000 0.000 0.500
3 Mn 0.327 0.319 0.175
4 Mn 0.369 0.304 0.662
5 Mn 0.631 0.696 0.338
6 Mn 0.673 0.681 0.825
7 O 0.329 0.983 0.342
8 O 0.671 0.017 0.658
9 F 0.058 0.619 0.662
10 F 0.107 0.094 0.699
11 F 0.241 0.228 0.961
12 F 0.301 0.682 0.008
13 F 0.433 0.434 0.366
14 F 0.567 0.566 0.634
15 F 0.699 0.318 0.992
16 F 0.759 0.772 0.039
17 F 0.893 0.906 0.301
18 F 0.942 0.381 0.338

Version x
A relaxed Mn3OF5 crystal. Source: the Materials Project database, functional GGA+U.

Summary:
The crystal system is monoclinic. Its mass density is 3.88 g/cm³.

Lattice parameters (Å, degrees): 5.912 5.912 7.539 106.94 106.94 74.27
Sites, in units of the cell vectors:
1 Mn 0.000 0.000 0.000
2 Mn 0.000 0.000 0.500
3 Mn 0.342 0.342 0.321
4 Mn 0.349 0.349 0.844
5 Mn 0.651 0.651 0.156
6 Mn 0.658 0.658 0.679
7 O 0.438 0.438 0.120
8 O 0.562 0.562 0.880
9 F 0.024 0.643 0.825
10 F 0.122 0.122 0.806
11 F 0.249 0.249 0.552
12 F 0.298 0.702 0.500
13 F 0.357 0.976 0.175
14 F 0.643 0.024 0.825
15 F 0.702 0.298 0.500
16 F 0.751 0.751 0.448
17 F 0.878 0.878 0.194
18 F 0.976 0.357 0.175

Most favorable structure: version x. The second most favorable one is 16 meV/atom above it.